1.
Entry from the Materials Project database: a relaxed Mn3Fe3Sb2O16 crystal (GGA+U).

```
Mn3Fe3Sb2O16
1.0
2.954 5.165 0.000
-2.954 5.165 0.000
0.000 0.219 9.287
Mn Fe Sb O
3 3 2 16
direct
0.830 0.830 0.213
0.662 0.167 0.712
0.167 0.662 0.712
0.829 0.332 0.209
0.332 0.829 0.209
0.166 0.166 0.709
0.667 0.667 0.490
0.332 0.332 0.991
0.831 0.333 0.601
0.521 0.521 0.344
0.673 0.673 0.107
0.993 0.993 0.307
0.993 0.993 0.808
0.333 0.831 0.601
0.963 0.529 0.341
0.529 0.963 0.341
0.165 0.165 0.098
0.834 0.834 0.604
0.490 0.041 0.840
0.041 0.490 0.840
0.340 0.340 0.608
0.663 0.164 0.100
0.480 0.480 0.833
0.164 0.663 0.100
```

**Uncorrected energy**: -6.5804 eV/atom
**Formation energy**: -1.682 eV/atom
**Density**: 4874 kg/m³
**Space-group type**: Cm, No. 8

2.
Entry from the Materials Project database: a relaxed Mn2Fe3Si3O12 crystal (GGA+U).

```
Mn2Fe3Si3O12
1.0
-6.572 -6.903 -3.909
7.353 1.818 -6.982
3.928 -3.817 8.725
Mn Fe Si O
8 12 12 48
direct
0.000 0.000 0.500
0.500 0.500 0.500
0.000 0.000 0.000
0.500 0.000 0.000
0.500 0.000 0.500
0.000 0.500 0.500
0.500 0.500 0.000
0.000 0.500 0.000
0.372 0.122 0.250
0.372 0.750 0.122
0.628 0.250 0.878
0.128 0.378 0.750
0.250 0.875 0.625
0.872 0.750 0.622
0.872 0.622 0.250
0.628 0.878 0.750
0.750 0.125 0.375
0.750 0.625 0.875
0.250 0.375 0.125
0.128 0.250 0.378
0.126 0.876 0.250
0.874 0.124 0.750
0.626 0.750 0.376
0.750 0.375 0.625
0.250 0.625 0.375
0.374 0.624 0.750
0.750 0.875 0.125
0.374 0.250 0.624
0.874 0.250 0.124
0.250 0.125 0.875
0.626 0.376 0.250
0.126 0.750 0.876
0.622 0.407 0.103
0.804 0.518 0.397
0.415 0.105 0.619
0.585 0.895 0.381
0.378 0.285 0.482
0.378 0.593 0.897
0.196 0.215 0.593
0.895 0.022 0.307
0.284 0.478 0.372
0.986 0.689 0.105
0.486 0.381 0.296
0.216 0.128 0.022
0.014 0.204 0.119
0.085 0.881 0.395
0.915 0.296 0.311
0.784 0.412 0.807
0.878 0.397 0.093
0.284 0.307 0.912
0.622 0.715 0.518
0.304 0.897 0.018
0.105 0.628 0.412
0.304 0.907 0.285
0.122 0.018 0.215
0.784 0.872 0.978
0.605 0.193 0.478
0.415 0.811 0.796
0.514 0.619 0.704
0.514 0.395 0.811
0.696 0.093 0.715
0.085 0.704 0.689
0.395 0.807 0.522
0.878 0.982 0.785
0.696 0.103 0.982
0.804 0.785 0.407
0.716 0.522 0.628
0.196 0.482 0.603
0.486 0.605 0.189
0.895 0.372 0.588
0.585 0.189 0.204
0.216 0.588 0.193
0.986 0.796 0.881
0.915 0.119 0.605
0.716 0.693 0.088
0.122 0.603 0.907
0.605 0.912 0.128
0.014 0.311 0.895
0.395 0.088 0.872
0.105 0.978 0.693
```

**Uncorrected energy**: -7.4273 eV/atom
**Formation energy**: -2.375 eV/atom
**Density**: 4374 kg/m³
**ΔE to the lowest computed polymorph**: 0 meV/atom
**Space-group type**: I4_1/acd, No. 142

3.
Entry from the Materials Project database: a relaxed Mn13FeSi2O22 crystal (GGA+U).

```
Mn13FeSi2O22
1.0
3.384 -5.862 0.000
3.384 5.862 0.000
0.000 0.000 11.254
Mn Fe Si O
13 1 2 22
direct
0.000 0.000 0.000
0.500 0.000 0.500
0.000 0.500 0.500
0.500 0.500 0.500
0.833 0.167 0.235
0.167 0.833 0.765
0.833 0.666 0.235
0.167 0.334 0.765
0.334 0.167 0.235
0.666 0.833 0.765
0.500 0.000 0.000
0.000 0.500 0.000
0.500 0.500 0.000
0.000 0.000 0.500
0.333 0.667 0.262
0.667 0.333 0.738
0.841 0.159 0.407
0.159 0.841 0.593
0.841 0.682 0.407
0.159 0.318 0.593
0.318 0.159 0.407
0.682 0.841 0.593
0.466 0.534 0.212
0.534 0.466 0.788
0.466 0.933 0.212
0.534 0.067 0.788
0.067 0.534 0.212
0.933 0.466 0.788
0.000 0.000 0.198
0.000 0.000 0.802
0.333 0.667 0.408
0.667 0.333 0.592
0.807 0.193 0.056
0.193 0.807 0.944
0.807 0.613 0.056
0.193 0.387 0.944
0.387 0.193 0.056
0.613 0.807 0.944
```

**Uncorrected energy**: -7.6433 eV/atom
**Formation energy**: -2.164 eV/atom
**Density**: 4382 kg/m³
**Space-group type**: P-3m1, No. 164

4.
Entry from the Materials Project database: a relaxed Mn2Fe5Si8O24 crystal (GGA+U).

```
Mn2Fe5Si8O24
1.0
5.400 0.000 0.000
0.000 9.474 0.000
0.000 0.000 18.456
Mn Fe Si O
4 10 16 48
direct
0.000 0.500 0.240
0.000 0.500 0.760
0.500 0.000 0.260
0.500 0.000 0.740
0.000 0.500 0.421
0.000 0.500 0.579
0.500 0.000 0.079
0.500 0.000 0.921
0.000 0.000 0.000
0.500 0.500 0.500
0.000 0.000 0.179
0.000 0.000 0.821
0.500 0.500 0.321
0.500 0.500 0.679
0.152 0.203 0.334
0.848 0.797 0.666
0.848 0.797 0.334
0.348 0.703 0.166
0.152 0.203 0.666
0.652 0.297 0.834
0.652 0.297 0.166
0.348 0.703 0.834
0.159 0.290 0.083
0.841 0.710 0.917
0.841 0.710 0.083
0.341 0.790 0.417
0.159 0.290 0.917
0.659 0.210 0.583
0.659 0.210 0.417
0.341 0.790 0.583
0.165 0.347 0.000
0.835 0.653 0.000
0.335 0.847 0.500
0.665 0.153 0.500
0.406 0.149 0.378
0.594 0.851 0.622
0.594 0.851 0.378
0.094 0.649 0.122
0.406 0.149 0.622
0.906 0.351 0.878
0.906 0.351 0.122
0.094 0.649 0.878
0.660 0.105 0.000
0.340 0.895 0.000
0.840 0.605 0.500
0.160 0.395 0.500
0.182 0.124 0.256
0.818 0.876 0.744
0.818 0.876 0.256
0.318 0.624 0.244
0.182 0.124 0.744
0.682 0.376 0.756
0.682 0.376 0.244
0.318 0.624 0.756
0.154 0.377 0.333
0.846 0.623 0.667
0.846 0.623 0.333
0.346 0.877 0.167
0.154 0.377 0.667
0.654 0.123 0.833
0.654 0.123 0.167
0.346 0.877 0.833
0.171 0.117 0.088
0.829 0.883 0.912
0.829 0.883 0.088
0.329 0.617 0.412
0.171 0.117 0.912
0.671 0.383 0.588
0.671 0.383 0.412
0.329 0.617 0.588
0.397 0.354 0.127
0.603 0.646 0.873
0.603 0.646 0.127
0.103 0.854 0.373
0.397 0.354 0.873
0.897 0.146 0.627
0.897 0.146 0.373
0.103 0.854 0.627
```

**Uncorrected energy**: -7.5717 eV/atom
**Formation energy**: -2.656 eV/atom
**Density**: 3509 kg/m³
**Space-group type**: Pnnm, No. 58

5.
Entry from the Materials Project database: a relaxed Mn2Fe3Si3O12 crystal (GGA+U).

```
Mn2Fe3Si3O12
1.0
9.355 2.305 3.653
-5.037 8.696 -2.278
-5.270 -5.256 7.126
Mn Fe Si O
8 12 12 48
direct
0.000 0.500 0.000
0.500 0.500 0.500
0.000 0.000 0.000
0.000 0.000 0.500
0.000 0.500 0.500
0.500 0.500 0.000
0.500 0.000 0.500
0.500 0.000 0.000
0.125 0.250 0.375
0.750 0.125 0.375
0.250 0.875 0.625
0.375 0.750 0.125
0.875 0.625 0.250
0.750 0.625 0.875
0.625 0.250 0.875
0.875 0.750 0.625
0.125 0.375 0.750
0.625 0.875 0.750
0.375 0.125 0.250
0.250 0.375 0.125
0.875 0.250 0.125
0.125 0.750 0.875
0.750 0.375 0.625
0.375 0.625 0.750
0.625 0.375 0.250
0.625 0.750 0.375
0.875 0.125 0.750
0.250 0.625 0.375
0.250 0.125 0.875
0.125 0.875 0.250
0.375 0.250 0.625
0.750 0.875 0.125
0.411 0.104 0.624
0.519 0.396 0.807
0.104 0.624 0.411
0.896 0.376 0.589
0.287 0.481 0.376
0.589 0.896 0.376
0.213 0.589 0.193
0.019 0.307 0.896
0.481 0.376 0.287
0.693 0.104 0.981
0.376 0.287 0.481
0.124 0.019 0.213
0.213 0.124 0.019
0.876 0.396 0.089
0.287 0.307 0.911
0.411 0.807 0.787
0.396 0.089 0.876
0.307 0.911 0.287
0.713 0.519 0.624
0.896 0.019 0.307
0.624 0.411 0.104
0.911 0.287 0.307
0.019 0.213 0.124
0.876 0.981 0.787
0.193 0.481 0.604
0.807 0.787 0.411
0.624 0.713 0.519
0.396 0.807 0.519
0.089 0.713 0.693
0.713 0.693 0.089
0.807 0.519 0.396
0.981 0.787 0.876
0.104 0.981 0.693
0.787 0.411 0.807
0.519 0.624 0.713
0.481 0.604 0.193
0.604 0.193 0.481
0.376 0.589 0.896
0.193 0.213 0.589
0.589 0.193 0.213
0.787 0.876 0.981
0.124 0.604 0.911
0.693 0.089 0.713
0.604 0.911 0.124
0.911 0.124 0.604
0.307 0.896 0.019
0.089 0.876 0.396
0.981 0.693 0.104
```

**Uncorrected energy**: -7.4023 eV/atom
**Formation energy**: -2.350 eV/atom
**Density**: 4366 kg/m³
**ΔE to the lowest computed polymorph**: 25 meV/atom
**Space-group type**: Ia-3d, No. 230

6.
Entry from the Materials Project database: a relaxed Mn3Fe2Si3O12 crystal (GGA+U).

```
Mn3Fe2Si3O12
1.0
-5.983 5.983 5.983
5.983 -5.983 5.983
5.983 5.983 -5.983
Mn Fe Si O
12 8 12 48
direct
0.875 0.625 0.250
0.625 0.875 0.750
0.250 0.875 0.625
0.750 0.625 0.875
0.625 0.250 0.875
0.125 0.250 0.375
0.125 0.375 0.750
0.375 0.125 0.250
0.750 0.125 0.375
0.250 0.375 0.125
0.875 0.750 0.625
0.375 0.750 0.125
0.500 0.000 0.500
0.000 0.500 0.000
0.500 0.500 0.500
0.000 0.000 0.000
0.000 0.500 0.500
0.500 0.500 0.000
0.500 0.000 0.000
0.000 0.000 0.500
0.125 0.750 0.875
0.250 0.625 0.375
0.625 0.750 0.375
0.875 0.125 0.750
0.375 0.250 0.625
0.375 0.625 0.750
0.625 0.375 0.250
0.250 0.125 0.875
0.125 0.875 0.250
0.750 0.375 0.625
0.875 0.250 0.125
0.750 0.875 0.125
0.879 0.395 0.088
0.792 0.879 0.985
0.395 0.807 0.515
0.693 0.088 0.708
0.807 0.515 0.395
0.985 0.792 0.879
0.088 0.708 0.693
0.985 0.693 0.105
0.792 0.412 0.807
0.412 0.807 0.792
0.708 0.515 0.621
0.088 0.879 0.395
0.395 0.088 0.879
0.105 0.985 0.693
0.515 0.621 0.708
0.807 0.792 0.412
0.105 0.621 0.412
0.621 0.708 0.515
0.879 0.985 0.792
0.693 0.105 0.985
0.588 0.895 0.379
0.708 0.693 0.088
0.621 0.412 0.105
0.412 0.105 0.621
0.121 0.605 0.912
0.208 0.121 0.015
0.605 0.193 0.485
0.307 0.912 0.292
0.193 0.485 0.605
0.015 0.208 0.121
0.912 0.292 0.307
0.015 0.307 0.895
0.208 0.588 0.193
0.588 0.193 0.208
0.292 0.485 0.379
0.912 0.121 0.605
0.605 0.912 0.121
0.895 0.015 0.307
0.485 0.379 0.292
0.193 0.208 0.588
0.895 0.379 0.588
0.379 0.292 0.485
0.121 0.015 0.208
0.307 0.895 0.015
0.485 0.605 0.193
0.292 0.307 0.912
0.379 0.588 0.895
0.515 0.395 0.807
```

**Uncorrected energy**: -7.6136 eV/atom
**Formation energy**: -2.498 eV/atom
**Density**: 4286 kg/m³
**Space-group type**: Ia-3d, No. 230

Among the records above, which one has the lowest formation energy? Mn2Fe5Si8O24

Repeat the first record exactly.
Entry from the Materials Project database: a relaxed Mn3Fe3Sb2O16 crystal (GGA+U).

```
Mn3Fe3Sb2O16
1.0
2.954 5.165 0.000
-2.954 5.165 0.000
0.000 0.219 9.287
Mn Fe Sb O
3 3 2 16
direct
0.830 0.830 0.213
0.662 0.167 0.712
0.167 0.662 0.712
0.829 0.332 0.209
0.332 0.829 0.209
0.166 0.166 0.709
0.667 0.667 0.490
0.332 0.332 0.991
0.831 0.333 0.601
0.521 0.521 0.344
0.673 0.673 0.107
0.993 0.993 0.307
0.993 0.993 0.808
0.333 0.831 0.601
0.963 0.529 0.341
0.529 0.963 0.341
0.165 0.165 0.098
0.834 0.834 0.604
0.490 0.041 0.840
0.041 0.490 0.840
0.340 0.340 0.608
0.663 0.164 0.100
0.480 0.480 0.833
0.164 0.663 0.100
```

**Uncorrected energy**: -6.5804 eV/atom
**Formation energy**: -1.682 eV/atom
**Density**: 4874 kg/m³
**Space-group type**: Cm, No. 8

Which of these has the lowest uncorrected energy? Mn13FeSi2O22

Which value of density does entry 2 give? 4374 kg/m³